No. 1
FeOF | GGA+U | optimized geometry

Cell: 6.3828 7.1496 3.0744 Å, 90.00 90.00 90.00°
Space group Cmmm (No. 65)
Symmetry-distinct sites (fractional):
Fe: 0.0000 0.0000 0.0000
Fe: 0.0000 0.5000 0.5000
O: 0.1998 0.0000 0.5000
F: 0.0000 0.3084 0.0000

VASP energy ... -5.98 eV/atom
M_tot ... 1.6667 μB per atom

=====

No. 2
BeCo2O4 | GGA+U | optimized geometry

Cell: 7.7355 7.7355 7.7355 Å, 90.00 90.00 90.00°
Space group Fd-3m (No. 227, origin choice 2)
Symmetry-distinct sites (fractional):
Be: 0.1250 0.1250 0.1250
Co: 0.0000 0.0000 0.5000
O: 0.0024 0.0024 0.7476

VASP energy ... -6.33 eV/atom

=====

No. 3
Li4Mn7O12 | GGA+U | optimized geometry

Cell: 5.2457 10.0208 13.8062 Å, 79.32 79.91 84.60°
Space group P1 (No. 1)
Symmetry-distinct sites (fractional):
Li: 0.0000 0.0000 0.0000
Li: 0.0241 0.7481 0.6889
Li: 0.1072 0.9967 0.7651
Li: 0.1586 0.5178 0.1604
Li: 0.2762 0.5076 0.9330
Li: 0.3337 0.0006 0.3262
Li: 0.3619 0.7572 0.0202
Li: 0.4692 0.5174 0.4984
Li: 0.6066 0.5073 0.2699
Li: 0.6718 0.9982 0.6618
Li: 0.6971 0.7578 0.3540
Li: 0.9432 0.5126 0.6063
Mn: 0.0434 0.5147 0.3847
Mn: 0.0909 0.2541 0.0768
Mn: 0.1280 0.7590 0.4677
Mn: 0.1770 0.2570 0.8525
Mn: 0.2098 0.9992 0.5481
Mn: 0.2643 0.7577 0.2393
Mn: 0.2978 0.2557 0.6287
Mn: 0.3767 0.5124 0.7182
Mn: 0.4134 0.2578 0.4069
Mn: 0.4802 0.7560 0.7980
Mn: 0.5202 0.2544 0.1879
Mn: 0.5514 0.9977 0.8853
Mn: 0.5855 0.7614 0.5764
Mn: 0.6350 0.2550 0.9648
Mn: 0.7119 0.5132 0.0459
Mn: 0.7470 0.2571 0.7400
Mn: 0.7981 0.7571 0.1312
Mn: 0.8478 0.2516 0.5228
Mn: 0.8803 0.9975 0.2132
Mn: 0.9315 0.7522 0.9062
Mn: 0.9631 0.2556 0.2993
O: 0.0132 0.6384 0.0453
O: 0.0414 0.8813 0.3205
O: 0.0682 0.3593 0.7263
O: 0.0718 0.8755 0.1232
O: 0.1212 0.1458 0.4156
O: 0.1661 0.3808 0.5116
O: 0.1871 0.6445 0.8140
O: 0.2008 0.1553 0.2021
O: 0.2421 0.8674 0.8845
O: 0.2672 0.6236 0.6005
O: 0.2889 0.3826 0.2960
O: 0.3174 0.1348 0.9608
O: 0.3399 0.6417 0.3822
O: 0.3705 0.8757 0.6687
O: 0.3925 0.3723 0.0702
O: 0.4196 0.8701 0.4653
O: 0.4550 0.1395 0.7477
O: 0.4626 0.3771 0.8376
O: 0.4981 0.1431 0.5318
O: 0.4985 0.6431 0.1486
O: 0.5768 0.8601 0.2250
O: 0.6145 0.6439 0.9213
O: 0.6240 0.3816 0.6279
O: 0.6499 0.1253 0.2946
O: 0.6782 0.6513 0.6991
O: 0.7121 0.8716 0.9963
O: 0.7285 0.3662 0.3925
O: 0.7589 0.8760 0.7891
O: 0.8052 0.1337 0.0918
O: 0.8136 0.3719 0.1806
O: 0.8239 0.6506 0.4839
O: 0.8767 0.1434 0.8570
O: 0.9292 0.8730 0.5592
O: 0.9536 0.6365 0.2558
O: 0.9552 0.3717 0.9680
O: 0.9892 0.1153 0.6377

VASP energy ... -6.91 eV/atom
M_tot ... 1.2609 μB per atom

=====

No. 4
Zn3Mo2O7 | GGA+U | optimized geometry

Cell: 19.2667 5.3457 5.3231 Å, 90.00 90.00 90.00°
Space group Cmc2_1 (No. 36)
Symmetry-distinct sites (fractional):
Zn: 0.0000 0.2344 0.0000
Zn: 0.2049 0.2841 0.9554
Mo: 0.1034 0.2480 0.4795
O: 0.0000 0.1306 0.3787
O: 0.0746 0.4145 0.8033
O: 0.1340 0.0888 0.1547
O: 0.2051 0.3587 0.5789

VASP energy ... -5.84 eV/atom
M_tot ... 0.0001 μB per atom
Largest piezoelectric modulus ... 0.5 C/m²

=====

No. 5
Li7Fe6Si6O24 | GGA+U | optimized geometry

Cell: 8.6255 8.6719 8.7733 Å, 107.86 108.15 106.84°
Space group P1 (No. 1)
Symmetry-distinct sites (fractional):
Li: 0.0000 0.0000 0.0000
Li: 0.0656 0.5740 0.8796
Li: 0.2174 0.6660 0.2126
Li: 0.2933 0.7582 0.5182
Li: 0.4544 0.3499 0.7143
Li: 0.5749 0.2685 0.1727
Li: 0.7016 0.8528 0.4237
Fe: 0.0817 0.1900 0.7281
Fe: 0.3116 0.3680 0.3343
Fe: 0.3968 0.9455 0.2162
Fe: 0.6198 0.0851 0.8152
Fe: 0.7968 0.6713 0.0543
Fe: 0.9010 0.5903 0.5166
Si: 0.1362 0.0072 0.3758
Si: 0.2313 0.9274 0.8393
Si: 0.4142 0.5223 0.0731
Si: 0.6428 0.7001 0.6722
Si: 0.7276 0.2441 0.5686
Si: 0.9408 0.4122 0.1571
O: 0.1119 0.0449 0.8459
O: 0.1436 0.7669 0.6353
O: 0.1546 0.4870 0.2996
O: 0.1701 0.1230 0.2590
O: 0.1993 0.1556 0.5790
O: 0.2089 0.4323 0.9086
O: 0.2089 0.8312 0.9698
O: 0.2592 0.8944 0.3699
O: 0.4220 0.3983 0.1840
O: 0.4441 0.0624 0.9068
O: 0.4575 0.7236 0.2100
O: 0.4769 0.4988 0.5813
O: 0.5535 0.8435 0.6639
O: 0.5557 0.5169 0.9838
O: 0.5944 0.1814 0.3609
O: 0.6167 0.2322 0.6916
O: 0.7518 0.7066 0.5483
O: 0.7825 0.7598 0.8785
O: 0.8258 0.4498 0.2707
O: 0.8321 0.1137 0.5892
O: 0.8509 0.2020 0.0150
O: 0.8808 0.4484 0.6425
O: 0.9197 0.8693 0.2809
O: 0.9505 0.5458 0.0551

VASP energy ... -6.83 eV/atom
M_tot ... 0.6744 μB per atom

=====

No. 6
Ca2FeReO6 | GGA+U | optimized geometry

Cell: 5.4757 9.6182 9.6240 Å, 73.01 89.69 89.76°
Space group P-1 (No. 2)
Symmetry-distinct sites (fractional):
Ca: 0.0135 0.0955 0.1567
Ca: 0.0143 0.5963 0.6563
Ca: 0.4861 0.3428 0.9045
Ca: 0.4856 0.8439 0.4037
Fe: 0.0000 0.0000 0.5000
Fe: 0.0000 0.5000 0.0000
Fe: 0.5000 0.0000 0.0000
Fe: 0.5000 0.5000 0.5000
Re: 0.0001 0.2512 0.7500
Re: 0.4992 0.2509 0.2502
O: 0.0977 0.6115 0.1438
O: 0.0990 0.1114 0.6451
O: 0.1787 0.1359 0.9177
O: 0.1788 0.6354 0.4177
O: 0.2112 0.8187 0.6347
O: 0.2121 0.3199 0.1337
O: 0.2882 0.3663 0.6804
O: 0.2882 0.8654 0.1813
O: 0.3210 0.5824 0.8641
O: 0.3218 0.0824 0.3644
O: 0.4013 0.8550 0.8886
O: 0.4024 0.3561 0.3884

VASP energy ... -7.38 eV/atom

=====

No. 7
LiMn2NiO6 | GGA+U | optimized geometry

Cell: 8.7785 4.9909 10.4236 Å, 90.00 94.22 90.00°
Space group C2/c (No. 15)
Symmetry-distinct sites (fractional):
Li: 0.0000 0.1566 0.2500
Mn: 0.0829 0.2476 0.9948
Ni: 0.2500 0.2500 0.5000
O: 0.0725 0.4073 0.4052
O: 0.0786 0.0627 0.6024
O: 0.2440 0.0806 0.9076

VASP energy ... -6.27 eV/atom
M_tot ... 0.7004 μB per atom

=====

No. 8
VZnSF5 | GGA+U | optimized geometry

Cell: 5.8224 7.4205 8.0625 Å, 92.97 107.22 110.94°
Space group P1 (No. 1)
Symmetry-distinct sites (fractional):
V: 0.0000 0.0000 0.0000
V: 0.4988 0.5003 0.9991
Zn: 0.3067 0.8556 0.7431
Zn: 0.6942 0.1469 0.2562
S: 0.3463 0.8769 0.4703
S: 0.6572 0.1292 0.5301
F: 0.0081 0.9058 0.7676
F: 0.1812 0.2799 0.9812
F: 0.2836 0.6203 0.8524
F: 0.3360 0.9791 0.0936
F: 0.4934 0.6187 0.1959
F: 0.5029 0.3809 0.8012
F: 0.6644 0.0218 0.9066
F: 0.7148 0.3802 0.1444
F: 0.8170 0.7199 0.0171
F: 0.9917 0.0946 0.2321

VASP energy ... -4.96 eV/atom
M_tot ... 0.2500 μB per atom